1.
Crystalline Sr5Ca3Fe2Co6O20 at its relaxed geometry. Source: Materials Project, functional GGA+U.

Formation energy from the elements ... -2.192 eV/atom
E_tot ... -895.39 eV for the cell shown

```
data_Sr5Ca3Fe2Co6O20
_cell_length_a 10.810
_cell_length_b 11.227
_cell_length_c 17.615
_cell_angle_alpha 71.51
_cell_angle_beta 72.21
_cell_angle_gamma 89.82
_symmetry_space_group_name_H-M 'P 1'
_symmetry_Int_Tables_number 1
loop_
_symmetry_equiv_pos_as_xyz
'x,y,z'
loop_
_atom_site_label
_atom_site_type_symbol
_atom_site_fract_x
_atom_site_fract_y
_atom_site_fract_z
_atom_site_occupancy
Sr1 Sr 0.000 0.000 0.000 1
Sr2 Sr 0.003 0.499 0.001 1
Sr3 Sr 0.138 0.641 0.226 1
Sr4 Sr 0.141 0.141 0.225 1
Sr5 Sr 0.149 0.643 0.715 1
Sr6 Sr 0.248 0.766 0.000 1
Sr7 Sr 0.254 0.268 0.001 1
Sr8 Sr 0.389 0.405 0.226 1
Sr9 Sr 0.389 0.904 0.227 1
Sr10 Sr 0.398 0.407 0.716 1
Sr11 Sr 0.503 0.499 0.000 1
Sr12 Sr 0.506 0.008 0.000 1
Sr13 Sr 0.640 0.639 0.227 1
Sr14 Sr 0.644 0.146 0.716 1
Sr15 Sr 0.751 0.263 0.002 1
Sr16 Sr 0.756 0.766 0.002 1
Sr17 Sr 0.890 0.402 0.226 1
Sr18 Sr 0.890 0.411 0.716 1
Sr19 Sr 0.890 0.902 0.226 1
Sr20 Sr 0.898 0.913 0.715 1
Ca1 Ca 0.006 0.498 0.501 1
Ca2 Ca 0.011 0.998 0.499 1
Ca3 Ca 0.147 0.136 0.714 1
Ca4 Ca 0.250 0.271 0.502 1
Ca5 Ca 0.261 0.771 0.501 1
Ca6 Ca 0.398 0.915 0.713 1
Ca7 Ca 0.504 0.494 0.500 1
Ca8 Ca 0.509 0.994 0.500 1
Ca9 Ca 0.643 0.136 0.221 1
Ca10 Ca 0.650 0.638 0.713 1
Ca11 Ca 0.755 0.271 0.501 1
Ca12 Ca 0.757 0.773 0.501 1
Fe1 Fe 0.094 0.295 0.854 1
Fe2 Fe 0.099 0.800 0.855 1
Fe3 Fe 0.342 0.112 0.857 1
Fe4 Fe 0.346 0.112 0.365 1
Fe5 Fe 0.351 0.617 0.853 1
Fe6 Fe 0.593 0.796 0.856 1
Fe7 Fe 0.843 0.615 0.857 1
Fe8 Fe 0.847 0.114 0.855 1
Co1 Co 0.087 0.295 0.366 1
Co2 Co 0.088 0.794 0.368 1
Co3 Co 0.195 0.453 0.111 1
Co4 Co 0.197 0.454 0.607 1
Co5 Co 0.197 0.956 0.107 1
Co6 Co 0.202 0.957 0.600 1
Co7 Co 0.337 0.607 0.368 1
Co8 Co 0.444 0.200 0.118 1
Co9 Co 0.447 0.206 0.602 1
Co10 Co 0.448 0.708 0.106 1
Co11 Co 0.451 0.707 0.605 1
Co12 Co 0.589 0.292 0.366 1
Co13 Co 0.589 0.796 0.367 1
Co14 Co 0.592 0.303 0.858 1
Co15 Co 0.696 0.451 0.112 1
Co16 Co 0.696 0.953 0.113 1
Co17 Co 0.697 0.956 0.606 1
Co18 Co 0.701 0.462 0.595 1
Co19 Co 0.837 0.107 0.366 1
Co20 Co 0.838 0.609 0.366 1
Co21 Co 0.944 0.201 0.114 1
Co22 Co 0.945 0.703 0.111 1
Co23 Co 0.948 0.206 0.603 1
Co24 Co 0.949 0.709 0.603 1
O1 O 0.001 0.312 0.468 1
O2 O 0.001 0.810 0.470 1
O3 O 0.007 0.297 0.964 1
O4 O 0.014 0.134 0.371 1
O5 O 0.014 0.633 0.372 1
O6 O 0.015 0.798 0.966 1
O7 O 0.022 0.644 0.855 1
O8 O 0.030 0.138 0.849 1
O9 O 0.061 0.317 0.615 1
O10 O 0.066 0.321 0.117 1
O11 O 0.066 0.822 0.120 1
O12 O 0.074 0.580 0.107 1
O13 O 0.076 0.596 0.595 1
O14 O 0.077 0.076 0.107 1
O15 O 0.078 0.832 0.614 1
O16 O 0.083 0.091 0.588 1
O17 O 0.115 0.920 0.749 1
O18 O 0.118 0.398 0.258 1
O19 O 0.118 0.898 0.260 1
O20 O 0.123 0.411 0.743 1
O21 O 0.250 0.491 0.473 1
O22 O 0.257 0.986 0.468 1
O23 O 0.258 0.002 0.969 1
O24 O 0.264 0.509 0.964 1
O25 O 0.265 0.764 0.372 1
O26 O 0.267 0.264 0.371 1
O27 O 0.270 0.270 0.857 1
O28 O 0.282 0.779 0.848 1
O29 O 0.312 0.834 0.117 1
O30 O 0.316 0.314 0.615 1
O31 O 0.320 0.328 0.118 1
O32 O 0.322 0.829 0.620 1
O33 O 0.324 0.077 0.594 1
O34 O 0.327 0.082 0.104 1
O35 O 0.328 0.587 0.107 1
O36 O 0.340 0.592 0.594 1
O37 O 0.362 0.103 0.747 1
O38 O 0.366 0.610 0.261 1
O39 O 0.368 0.112 0.254 1
O40 O 0.371 0.606 0.746 1
O41 O 0.496 0.304 0.469 1
O42 O 0.504 0.807 0.471 1
O43 O 0.507 0.795 0.969 1
O44 O 0.514 0.636 0.372 1
O45 O 0.515 0.297 0.966 1
O46 O 0.518 0.145 0.856 1
O47 O 0.526 0.130 0.364 1
O48 O 0.532 0.639 0.850 1
O49 O 0.563 0.819 0.118 1
O50 O 0.567 0.320 0.124 1
O51 O 0.567 0.327 0.614 1
O52 O 0.567 0.815 0.618 1
O53 O 0.571 0.091 0.594 1
O54 O 0.575 0.080 0.110 1
O55 O 0.579 0.575 0.106 1
O56 O 0.587 0.582 0.595 1
O57 O 0.611 0.914 0.748 1
O58 O 0.617 0.402 0.260 1
O59 O 0.619 0.416 0.754 1
O60 O 0.619 0.905 0.260 1
O61 O 0.745 0.489 0.468 1
O62 O 0.749 0.991 0.469 1
O63 O 0.761 0.502 0.968 1
O64 O 0.764 0.004 0.966 1
O65 O 0.765 0.264 0.372 1
O66 O 0.766 0.764 0.372 1
O67 O 0.771 0.773 0.857 1
O68 O 0.772 0.269 0.857 1
O69 O 0.810 0.323 0.122 1
O70 O 0.813 0.338 0.611 1
O71 O 0.815 0.824 0.120 1
O72 O 0.824 0.081 0.109 1
O73 O 0.824 0.578 0.107 1
O74 O 0.824 0.823 0.616 1
O75 O 0.830 0.589 0.590 1
O76 O 0.832 0.093 0.594 1
O77 O 0.864 0.612 0.747 1
O78 O 0.866 0.114 0.257 1
O79 O 0.867 0.611 0.259 1
O80 O 0.868 0.114 0.745 1
```

2.
Crystalline MgV4Ag2O11 at its relaxed geometry. Source: Materials Project, functional GGA+U.

Formation energy from the elements ... -2.065 eV/atom
Energy above the lowest structure with this stoichiometry ... 0.7 kJ per mole of atoms
E_tot ... -120.84 eV for the cell shown

```
data_MgV4Ag2O11
_cell_length_a 3.708
_cell_length_b 8.299
_cell_length_c 8.546
_cell_angle_alpha 68.46
_cell_angle_beta 78.31
_cell_angle_gamma 77.14
_symmetry_space_group_name_H-M 'P 1'
_symmetry_Int_Tables_number 1
loop_
_symmetry_equiv_pos_as_xyz
'x,y,z'
loop_
_atom_site_label
_atom_site_type_symbol
_atom_site_fract_x
_atom_site_fract_y
_atom_site_fract_z
_atom_site_occupancy
Mg1 Mg 0.000 0.000 0.000 1
V1 V 0.137 0.081 0.630 1
V2 V 0.366 0.646 0.599 1
V3 V 0.664 0.781 0.886 1
V4 V 0.866 0.389 0.891 1
Ag1 Ag 0.121 0.508 0.244 1
Ag2 Ag 0.797 0.025 0.341 1
O1 O 0.012 0.205 0.766 1
O2 O 0.156 0.841 0.841 1
O3 O 0.157 0.229 0.433 1
O4 O 0.300 0.876 0.497 1
O5 O 0.362 0.446 0.818 1
O6 O 0.480 0.564 0.442 1
O7 O 0.530 0.905 0.038 1
O8 O 0.657 0.008 0.662 1
O9 O 0.716 0.557 0.023 1
O10 O 0.832 0.639 0.679 1
O11 O 0.844 0.210 0.077 1
```

Number 1: calculated density 4.648 Mg/m³. Number 2: calculated density 4.354 Mg/m³.